Record 1
Compound: ZnB10H26O8
Source: Materials Project
Functional: PBE
Structure: optimized geometry

Structure (POSCAR):
```
ZnB10H26O8
1.0
0.0000 -6.9087 0.0000
-6.5889 -3.4544 0.0000
-1.6537 -3.4544 -18.0776
H B Zn O
52 20 2 16
Direct
0.8702 0.4401 0.1487
0.6995 0.0367 0.9070
0.5831 0.7255 0.6276
0.9214 0.9562 0.2101
0.0876 0.5438 0.2899
0.7309 0.1915 0.0867
0.0786 0.0438 0.7899
0.7197 0.8663 0.7627
0.3487 0.6337 0.7373
0.5411 0.9401 0.6487
0.6417 0.4737 0.8559
0.3583 0.5263 0.1441
0.0638 0.2255 0.1276
0.0091 0.3085 0.4133
0.0287 0.9737 0.3559
0.6009 0.0716 0.1300
0.3382 0.7888 0.4435
0.7290 0.2468 0.4709
0.2691 0.8085 0.9133
0.4294 0.2888 0.9435
0.9713 0.0263 0.6441
0.2710 0.7532 0.5291
0.1202 0.6947 0.0826
0.8798 0.3053 0.9174
0.4169 0.2745 0.3724
0.3568 0.5367 0.4070
0.7159 0.7037 0.1721
0.1976 0.5716 0.6300
0.1929 0.3591 0.5569
0.8975 0.8053 0.4174
0.1089 0.1409 0.9431
0.3991 0.9284 0.8700
0.5532 0.7468 0.9709
0.8024 0.4284 0.3700
0.4083 0.2037 0.6721
0.3005 0.9633 0.0930
0.6432 0.4633 0.5930
0.1298 0.5599 0.8513
0.2803 0.1337 0.2373
0.6618 0.2112 0.5565
0.8911 0.8591 0.0569
0.4589 0.0599 0.3513
0.5706 0.7112 0.0565
0.1025 0.1947 0.5826
0.6513 0.3663 0.2627
0.9909 0.6915 0.5867
0.9362 0.7745 0.8724
0.2841 0.2963 0.8279
0.5917 0.7963 0.3279
0.4468 0.2532 0.0291
0.9124 0.4562 0.7101
0.8071 0.6409 0.4431
0.3461 0.6200 0.3453
0.3007 0.9647 0.2363
0.6539 0.3800 0.6547
0.6887 0.1200 0.8453
0.4692 0.7649 0.2990
0.8903 0.1304 0.7784
0.5330 0.7351 0.2010
0.4670 0.2649 0.7990
0.8305 0.1412 0.6866
0.6583 0.3588 0.8134
0.5017 0.5353 0.2637
0.1097 0.8696 0.2216
0.5308 0.2351 0.7010
0.3417 0.6412 0.1866
0.2009 0.6304 0.2784
0.6993 0.0353 0.7637
0.3113 0.8800 0.1547
0.7991 0.3696 0.7216
0.1695 0.8588 0.3134
0.4983 0.4647 0.7363
0.0000 0.5000 0.0000
0.5000 0.0000 0.5000
0.1509 0.6069 0.5804
0.9746 0.2668 0.9565
0.1979 0.2332 0.5435
0.4018 0.1497 0.3918
0.0254 0.7332 0.0435
0.6658 0.1690 0.5084
0.9434 0.3503 0.1082
0.0566 0.6497 0.8918
0.3342 0.8310 0.4916
0.6618 0.1069 0.0804
0.8491 0.3931 0.4196
0.3382 0.8931 0.9196
0.6569 0.6690 0.0084
0.3431 0.3310 0.9916
0.5982 0.8503 0.6082
0.8021 0.7668 0.4565
```

Calculated values
Crystal system   monoclinic
VASP energy   -4.936 eV per atom
Energy relative to the elements   -0.706 eV/atom
Total magnetic moment   0.082 μB per cell

***

Record 2
Compound: K3As11
Source: Materials Project
Functional: PBE
Structure: optimized geometry

Structure (POSCAR):
```
K3As11
1.0
-0.4651 10.9982 0.9403
-11.1978 -0.6285 1.8115
2.4164 -1.1410 14.5414
As K
44 12
Direct
0.2767 0.6844 0.2451
0.0061 0.0362 0.1409
0.2767 0.8156 0.7451
0.9939 0.5362 0.3591
0.5650 0.8861 0.2843
0.4939 0.9638 0.1409
0.7500 0.0000 0.4771
0.8264 0.9197 0.1103
0.2500 0.0000 0.5229
0.1736 0.0803 0.8897
0.2233 0.3156 0.2451
0.0061 0.4638 0.6409
0.7233 0.1844 0.2549
0.1018 0.4285 0.1313
0.5061 0.0362 0.8591
0.0650 0.8861 0.7157
0.7767 0.6844 0.7549
0.3982 0.9285 0.6313
0.1736 0.4197 0.3897
0.3264 0.9197 0.8897
0.3982 0.5715 0.1313
0.6736 0.0803 0.1103
0.8982 0.5715 0.8687
0.6018 0.0715 0.3687
0.9350 0.3861 0.7843
0.6018 0.4285 0.8687
0.6736 0.4197 0.6103
0.8264 0.5803 0.6103
0.5061 0.4638 0.3591
0.4350 0.1139 0.7157
0.7767 0.8156 0.2549
0.8982 0.9285 0.3687
0.2500 0.5000 0.0229
0.9350 0.1139 0.2843
0.1018 0.0715 0.6313
0.2233 0.1844 0.7451
0.9939 0.9638 0.8591
0.3264 0.5803 0.3897
0.7233 0.3156 0.7549
0.0650 0.6139 0.2157
0.7500 0.5000 0.9771
0.4939 0.5362 0.6409
0.4350 0.3861 0.2157
0.5650 0.6139 0.7843
0.5875 0.7383 0.4881
0.0875 0.7617 0.0119
0.9125 0.2617 0.4881
0.2500 0.5000 0.7845
0.9125 0.2383 0.9881
0.7500 0.0000 0.7155
0.7500 0.5000 0.2155
0.0875 0.7383 0.5119
0.4125 0.2383 0.0119
0.4125 0.2617 0.5119
0.2500 0.0000 0.2845
0.5875 0.7617 0.9881
```

Calculated values
Crystal system   orthorhombic
VASP energy   -4.169 eV per atom
Energy relative to the elements   -0.270 eV/atom

***

Record 3
Compound: Cs2Se
Source: Materials Project
Functional: PBE
Structure: optimized geometry

Structure (POSCAR):
```
Cs2Se
1.0
4.9838 0.0000 0.0000
0.0000 6.4884 0.0000
0.0000 0.0000 9.2282
Cs Se
4 2
Direct
0.5000 0.7500 0.3971
0.0000 0.7500 0.0717
0.5000 0.2500 0.6029
0.0000 0.2500 0.9283
0.5000 0.7500 0.7813
0.5000 0.2500 0.2187
```

Calculated values
Crystal system   orthorhombic
VASP energy   -2.518 eV per atom
Energy relative to the lowest polymorph listed for this composition   0.292 eV/atom
Energy relative to the elements   -0.913 eV/atom
Total magnetic moment   0.002 μB per cell

***

Record 4
Compound: AsAu3
Source: Materials Project
Functional: PBE
Structure: optimized geometry

Structure (POSCAR):
```
AsAu3
1.0
2.9795 -5.1606 0.0000
2.9795 5.1606 0.0000
0.0000 0.0000 4.8089
As Au
2 6
Direct
0.6667 0.3333 0.2500
0.3333 0.6667 0.7500
0.1668 0.3337 0.2500
0.6663 0.8332 0.2500
0.8332 0.1668 0.7500
0.1668 0.8332 0.2500
0.8332 0.6663 0.7500
0.3337 0.1668 0.7500
```

Calculated values
Crystal system   hexagonal
VASP energy   -3.469 eV per atom
Energy relative to the elements   0.151 eV/atom
Total magnetic moment   0.004 μB per cell

***

Record 5
Compound: Ce2Ni7P4
Source: Materials Project
Functional: PBE
Structure: optimized geometry

Structure (POSCAR):
```
Ce2Ni7P4
1.0
3.7591 0.0000 0.0000
0.0000 9.1497 0.0000
0.0000 0.0000 10.3528
Ce Ni P
4 14 8
Direct
0.5000 0.5590 0.2788
0.0000 0.4410 0.7788
0.0000 0.0611 0.0002
0.5000 0.9389 0.5002
0.0000 0.8147 0.2643
0.5000 0.2446 0.3995
0.5000 0.8072 0.0672
0.0000 0.1928 0.5672
0.5000 0.1853 0.7643
0.5000 0.5593 0.9755
0.5000 0.5995 0.5784
0.5000 0.9200 0.8089
0.5000 0.2225 0.1674
0.0000 0.0800 0.3089
0.0000 0.4407 0.4755
0.0000 0.7554 0.8995
0.0000 0.7775 0.6674
0.0000 0.4005 0.0784
0.0000 0.3168 0.2834
0.5000 0.3446 0.5881
0.0000 0.0259 0.7184
0.0000 0.6554 0.0881
0.5000 0.9741 0.2184
0.5000 0.6832 0.7834
0.0000 0.6891 0.4652
0.5000 0.3109 0.9652
```

Calculated values
Crystal system   orthorhombic
VASP energy   -6.551 eV per atom
Energy relative to the elements   -0.861 eV/atom
Total magnetic moment   1.505 μB per cell

***

Record 6
Compound: CuAsPbO4
Source: Materials Project
Functional: PBE
Structure: optimized geometry

Structure (POSCAR):
```
CuAsPbO4
1.0
4.9405 0.0000 0.0000
0.5861 5.9105 0.0000
2.0506 1.4383 7.7146
As O Cu Pb
2 8 2 2
Direct
0.4236 0.2009 0.6875
0.5764 0.7991 0.3125
0.2246 0.3743 0.5623
0.2311 0.9668 0.8106
0.7689 0.0332 0.1894
0.7754 0.6257 0.4377
0.2710 0.9072 0.4348
0.7290 0.0928 0.5652
0.5065 0.6307 0.1761
0.4935 0.3693 0.8239
0.3732 0.8085 0.9944
0.6268 0.1915 0.0056
0.0632 0.2897 0.3232
0.9368 0.7103 0.6768
```

Calculated values
Crystal system   triclinic
VASP energy   -5.720 eV per atom
Energy relative to the elements   -1.504 eV/atom
Total magnetic moment   0.000 μB per cell

***

> What is the energy relative to the elements in the third record?

-0.913 eV/atom

***

> Look up the VASP energy of the second one.

-4.169 eV per atom

***

> What is the formula in the second record?

K3As11